1.
# Al2O3

A geometry-optimized Al2O3 structure (GGA-PBE, the Materials Project).

**M_tot**: 0.0 μB per cell
**Symmetry**: P1, No. 1
**Energy relative to the elements**: -3.19 eV per atom

abc: 10.2646 10.3855 10.5287
angles: 89.80 88.86 83.21
Element x y z (fractional)
Al: 0.0000 0.0000 0.0000
Al: 0.0011 0.3765 0.6905
Al: 0.0030 0.1955 0.2598
Al: 0.0872 0.4051 0.0480
Al: 0.1421 0.7460 0.8595
Al: 0.1738 0.5920 0.6011
Al: 0.1740 0.9890 0.3088
Al: 0.1944 0.1384 0.5309
Al: 0.1985 0.7016 0.3362
Al: 0.2192 0.1378 0.8014
Al: 0.2232 0.0170 0.0464
Al: 0.2251 0.8968 0.6059
Al: 0.2538 0.4469 0.8563
Al: 0.3641 0.3187 0.6397
Al: 0.4095 0.3937 0.1074
Al: 0.4199 0.8678 0.4087
Al: 0.4266 0.6727 0.9431
Al: 0.4452 0.1166 0.2293
Al: 0.4620 0.3237 0.4019
Al: 0.4639 0.1773 0.9292
Al: 0.4652 0.6219 0.4918
Al: 0.4835 0.6999 0.2086
Al: 0.4992 0.9085 0.9598
Al: 0.5353 0.8014 0.6779
Al: 0.6343 0.0394 0.4492
Al: 0.6453 0.5147 0.0645
Al: 0.6721 0.0370 0.7077
Al: 0.6780 0.5738 0.7541
Al: 0.6892 0.3358 0.8909
Al: 0.6923 0.5038 0.3200
Al: 0.7037 0.3290 0.5928
Al: 0.7072 0.0501 0.9931
Al: 0.7268 0.2204 0.2438
Al: 0.7515 0.9100 0.1972
Al: 0.8483 0.8294 0.8080
Al: 0.8934 0.5498 0.4832
Al: 0.9058 0.0984 0.6175
Al: 0.9157 0.8300 0.3854
Al: 0.9192 0.5439 0.8944
Al: 0.9570 0.6207 0.2041
O: 0.0255 0.2971 0.1398
O: 0.0457 0.4904 0.5668
O: 0.0604 0.0293 0.1602
O: 0.0632 0.0220 0.5844
O: 0.0727 0.4242 0.8599
O: 0.0866 0.8512 0.3665
O: 0.1037 0.1152 0.9292
O: 0.1176 0.1498 0.3742
O: 0.1193 0.5987 0.2512
O: 0.1418 0.2488 0.6764
O: 0.1441 0.8759 0.9695
O: 0.1630 0.7533 0.6848
O: 0.2606 0.3894 0.0204
O: 0.2701 0.6183 0.8986
O: 0.2735 0.9760 0.4511
O: 0.2776 0.6150 0.4698
O: 0.2807 0.4745 0.6899
O: 0.2819 0.0295 0.6842
O: 0.2993 0.0409 0.1937
O: 0.3234 0.2479 0.4942
O: 0.3275 0.7864 0.2835
O: 0.3512 0.0499 0.9400
O: 0.3514 0.2600 0.8067
O: 0.3924 0.8010 0.5690
O: 0.3927 0.2951 0.2431
O: 0.4335 0.7940 0.0644
O: 0.4455 0.5549 0.1110
O: 0.4500 0.8086 0.8302
O: 0.5108 0.9873 0.3390
O: 0.5135 0.4872 0.3785
O: 0.5205 0.3319 0.5676
O: 0.5214 0.3383 0.9701
O: 0.5306 0.1223 0.0804
O: 0.5391 0.7265 0.3775
O: 0.5641 0.6298 0.6318
O: 0.5789 0.0328 0.8540
O: 0.5830 0.5843 0.9102
O: 0.5866 0.9493 0.5967
O: 0.5934 0.1915 0.3519
O: 0.6509 0.8968 0.0606
O: 0.6556 0.3995 0.7426
O: 0.6576 0.6294 0.1857
O: 0.6754 0.3810 0.1903
O: 0.7067 0.7582 0.7678
O: 0.7152 0.1417 0.5764
O: 0.7478 0.1745 0.8866
O: 0.7498 0.4587 0.4911
O: 0.7716 0.9462 0.3703
O: 0.7787 0.0780 0.1462
O: 0.7871 0.4461 0.9670
O: 0.8402 0.9666 0.7030
O: 0.8570 0.2173 0.3438
O: 0.8599 0.5192 0.7390
O: 0.8621 0.9386 0.9437
O: 0.8673 0.5361 0.3139
O: 0.8863 0.2693 0.6429
O: 0.8858 0.7867 0.2177
O: 0.9066 0.7147 0.5008
O: 0.9756 0.7063 0.8524
O: 0.9837 0.5556 0.0510

2.
# K2Ag2GeSe4

A geometry-optimized K2Ag2GeSe4 structure (GGA-PBE, the Materials Project).

**M_tot**: 0.0 μB per cell
**Symmetry**: Fddd, No. 70
**Energy relative to the elements**: -0.85 eV per atom

abc: 13.1516 11.5766 7.8414
angles: 82.87 60.86 36.27
Element x y z (fractional)
K: 0.0609 0.0609 0.6891
K: 0.3109 0.3109 0.9391
K: 0.6891 0.6891 0.0609
K: 0.9391 0.9391 0.3109
Ag: 0.3004 0.3004 0.4496
Ag: 0.4496 0.4496 0.3004
Ag: 0.5504 0.5504 0.6996
Ag: 0.6996 0.6996 0.5504
Ge: 0.1250 0.1250 0.1250
Ge: 0.8750 0.8750 0.8750
Se: 0.0950 0.2782 0.3659
Se: 0.2390 0.6341 0.7218
Se: 0.2782 0.0950 0.7610
Se: 0.3659 0.7610 0.0950
Se: 0.6341 0.2390 0.9050
Se: 0.7218 0.9050 0.2390
Se: 0.7610 0.3659 0.2782
Se: 0.9050 0.7218 0.6341

3.
# LiAg

A geometry-optimized LiAg structure (GGA-PBE, the Materials Project).

**Symmetry**: I4_1/amd, No. 141
**Energy relative to the elements**: -0.22 eV per atom

abc: 4.0025 4.0025 8.3130
angles: 90.00 90.00 90.00
Element x y z (fractional)
Li: 0.0000 0.2500 0.3750
Li: 0.0000 0.7500 0.6250
Li: 0.5000 0.2500 0.1250
Li: 0.5000 0.7500 0.8750
Ag: 0.0000 0.2500 0.8750
Ag: 0.0000 0.7500 0.1250
Ag: 0.5000 0.2500 0.6250
Ag: 0.5000 0.7500 0.3750

4.
# SmVSb3

A geometry-optimized SmVSb3 structure (GGA-PBE, the Materials Project).

**M_tot**: 2.6 μB per cell
**Symmetry**: Pbcm, No. 57
**Energy relative to the elements**: -0.64 eV per atom

abc: 13.0908 6.2704 6.0370
angles: 90.00 90.00 90.00
Element x y z (fractional)
Sm: 0.1906 0.0027 0.2500
Sm: 0.1906 0.4973 0.7500
Sm: 0.8094 0.5027 0.2500
Sm: 0.8094 0.9973 0.7500
V: 0.4049 0.7500 0.0000
V: 0.4049 0.7500 0.5000
V: 0.5951 0.2500 0.0000
V: 0.5951 0.2500 0.5000
Sb: 0.0012 0.7500 0.0000
Sb: 0.0012 0.7500 0.5000
Sb: 0.2795 0.0032 0.7500
Sb: 0.2795 0.4968 0.2500
Sb: 0.4346 0.1043 0.2500
Sb: 0.4346 0.3957 0.7500
Sb: 0.5654 0.6043 0.2500
Sb: 0.5654 0.8957 0.7500
Sb: 0.7205 0.5032 0.7500
Sb: 0.7205 0.9968 0.2500
Sb: 0.9988 0.2500 0.0000
Sb: 0.9988 0.2500 0.5000

5.
# TmGa6

A geometry-optimized TmGa6 structure (GGA-PBE, the Materials Project).

**Symmetry**: P4/nbm, No. 125
**Energy relative to the elements**: -0.27 eV per atom

abc: 6.0172 6.0172 7.5421
angles: 90.00 90.00 90.00
Element x y z (fractional)
Tm: 0.2500 0.7500 0.0000
Tm: 0.7500 0.2500 0.0000
Ga: 0.0583 0.5583 0.3471
Ga: 0.0583 0.9417 0.6529
Ga: 0.2500 0.2500 0.1601
Ga: 0.2500 0.2500 0.8399
Ga: 0.4417 0.5583 0.6529
Ga: 0.4417 0.9417 0.3471
Ga: 0.5583 0.0583 0.6529
Ga: 0.5583 0.4417 0.3471
Ga: 0.7500 0.7500 0.1601
Ga: 0.7500 0.7500 0.8399
Ga: 0.9417 0.0583 0.3471
Ga: 0.9417 0.4417 0.6529

6.
# Nd5Mg

A geometry-optimized Nd5Mg structure (GGA-PBE, the Materials Project).

**M_tot**: 0.0 μB per cell
**Symmetry**: Amm2, No. 38
**Energy relative to the elements**: 0.04 eV per atom

abc: 5.8820 3.6968 18.5299
angles: 90.00 90.00 90.00
Element x y z (fractional)
Nd: 0.0000 0.0000 0.0000
Nd: 0.0000 0.0000 0.3248
Nd: 0.0000 0.5000 0.5000
Nd: 0.0000 0.5000 0.8248
Nd: 0.5000 0.0000 0.2073
Nd: 0.5000 0.0000 0.5480
Nd: 0.5000 0.0000 0.8765
Nd: 0.5000 0.5000 0.0480
Nd: 0.5000 0.5000 0.3765
Nd: 0.5000 0.5000 0.7073
Mg: 0.0000 0.0000 0.6598
Mg: 0.0000 0.5000 0.1598

7.
# MgGe5

A geometry-optimized MgGe5 structure (GGA-PBE, the Materials Project).

**M_tot**: 0.0 μB per cell
**Symmetry**: Amm2, No. 38
**Energy relative to the elements**: 0.23 eV per atom

abc: 5.0073 2.9617 15.5347
angles: 90.00 90.00 90.00
Element x y z (fractional)
Mg: 0.0000 0.0000 0.0000
Mg: 0.0000 0.5000 0.5000
Ge: 0.0000 0.0000 0.3319
Ge: 0.0000 0.0000 0.6657
Ge: 0.0000 0.5000 0.1657
Ge: 0.0000 0.5000 0.8319
Ge: 0.5000 0.0000 0.1161
Ge: 0.5000 0.0000 0.4492
Ge: 0.5000 0.0000 0.7807
Ge: 0.5000 0.5000 0.2807
Ge: 0.5000 0.5000 0.6161
Ge: 0.5000 0.5000 0.9492

8.
# Sr3MgRhO6

A geometry-optimized Sr3MgRhO6 structure (GGA-PBE, the Materials Project).

**M_tot**: 2.0 μB per cell
**Symmetry**: R-3c, No. 167
**Energy relative to the elements**: -2.64 eV per atom

abc: 6.7359 6.7359 6.7359
angles: 92.59 92.59 92.59
Element x y z (fractional)
Sr: 0.1154 0.7500 0.3846
Sr: 0.2500 0.6154 0.8846
Sr: 0.3846 0.1154 0.7500
Sr: 0.6154 0.8846 0.2500
Sr: 0.7500 0.3846 0.1154
Sr: 0.8846 0.2500 0.6154
Mg: 0.2500 0.2500 0.2500
Mg: 0.7500 0.7500 0.7500
Rh: 0.0000 0.0000 0.0000
Rh: 0.5000 0.5000 0.5000
O: 0.0371 0.9063 0.7125
O: 0.0937 0.2875 0.9629
O: 0.2125 0.4063 0.5371
O: 0.2875 0.9629 0.0937
O: 0.4063 0.5371 0.2125
O: 0.4629 0.7875 0.5937
O: 0.5371 0.2125 0.4063
O: 0.5937 0.4629 0.7875
O: 0.7125 0.0371 0.9063
O: 0.7875 0.5937 0.4629
O: 0.9063 0.7125 0.0371
O: 0.9629 0.0937 0.2875

9.
# CeSi3Rh

A geometry-optimized CeSi3Rh structure (GGA-PBE, the Materials Project).

**Symmetry**: I4mm, No. 107
**Energy relative to the elements**: -0.82 eV per atom

abc: 4.2318 4.2318 9.7878
angles: 90.00 90.00 90.00
Element x y z (fractional)
Ce: 0.0000 0.0000 0.0000
Ce: 0.5000 0.5000 0.5000
Si: 0.0000 0.0000 0.4173
Si: 0.0000 0.5000 0.2682
Si: 0.0000 0.5000 0.7682
Si: 0.5000 0.0000 0.2682
Si: 0.5000 0.0000 0.7682
Si: 0.5000 0.5000 0.9173
Rh: 0.0000 0.0000 0.6587
Rh: 0.5000 0.5000 0.1587

10.
# In2Br3

A geometry-optimized In2Br3 structure (GGA-PBE, the Materials Project).

**M_tot**: 0.0 μB per cell
**Symmetry**: P2_1, No. 4
**Energy relative to the elements**: -1.07 eV per atom

abc: 13.3445 13.2295 33.0514
angles: 90.00 90.12 90.00
Element x y z (fractional)
In: 0.0546 0.4201 0.4182
In: 0.0548 0.4218 0.9194
In: 0.0553 0.4237 0.3345
In: 0.0561 0.4231 0.8356
In: 0.0789 0.2899 0.1254
In: 0.0804 0.2895 0.6266
In: 0.0935 0.6200 0.1213
In: 0.0990 0.6211 0.6225
In: 0.1294 0.1262 0.2815
In: 0.1288 0.1256 0.7852
In: 0.1553 0.1099 0.4749
In: 0.2192 0.6590 0.9753
In: 0.2263 0.6636 0.4756
In: 0.2360 0.7719 0.1214
In: 0.2390 0.7752 0.6206
In: 0.2479 0.9983 0.0147
In: 0.2529 0.6220 0.2648
In: 0.2528 0.6220 0.7649
In: 0.2641 0.8482 0.3718
In: 0.2638 0.8480 0.8714
In: 0.2802 0.9619 0.7241
In: 0.2819 0.9600 0.2254
In: 0.3722 0.4938 0.0352
In: 0.3753 0.4928 0.5345
In: 0.4062 0.0000 0.8712
In: 0.4066 0.9997 0.3708
In: 0.4210 0.3304 0.8755
In: 0.4249 0.3325 0.3762
In: 0.4444 0.1927 0.5845
In: 0.4442 0.1961 0.0855
In: 0.4454 0.1983 0.1693
In: 0.4448 0.1981 0.6685
In: 0.5552 0.6981 0.3315
In: 0.5546 0.6983 0.8307
In: 0.5556 0.6927 0.4155
In: 0.5558 0.6961 0.9145
In: 0.5751 0.8325 0.6238
In: 0.5790 0.8304 0.1245
In: 0.5934 0.4997 0.6292
In: 0.5938 0.5000 0.1288
In: 0.6247 0.9928 0.4655
In: 0.6278 0.9938 0.9648
In: 0.7181 0.4600 0.7746
In: 0.7198 0.4619 0.2759
In: 0.7362 0.3480 0.1286
In: 0.7359 0.3482 0.6282
In: 0.7472 0.1220 0.2351
In: 0.7471 0.1220 0.7352
In: 0.7521 0.4983 0.9853
In: 0.7610 0.2752 0.3794
In: 0.7640 0.2719 0.8786
In: 0.7737 0.1636 0.5244
In: 0.7808 0.1590 0.0247
In: 0.8447 0.6099 0.5251
In: 0.8712 0.6256 0.2148
In: 0.8706 0.6262 0.7185
In: 0.9010 0.1211 0.3775
In: 0.9065 0.1200 0.8787
In: 0.9196 0.7895 0.3734
In: 0.9211 0.7899 0.8746
In: 0.9439 0.9231 0.1644
In: 0.9454 0.9201 0.5818
In: 0.9452 0.9218 0.0806
In: 0.9447 0.9237 0.6655
Br: 0.0000 0.0971 0.0497
Br: 0.0000 0.5971 0.9503
Br: 0.0073 0.6009 0.4465
Br: 0.0152 0.5999 0.3026
Br: 0.0157 0.5992 0.8030
Br: 0.0512 0.7988 0.5378
Br: 0.0555 0.7993 0.7075
Br: 0.0553 0.8002 0.2069
Br: 0.0583 0.8033 0.0381
Br: 0.0970 0.1524 0.3782
Br: 0.0992 0.1500 0.8816
Br: 0.1131 0.5048 0.1855
Br: 0.1138 0.5035 0.6860
Br: 0.1206 0.4963 0.5616
Br: 0.1260 0.4936 0.0617
Br: 0.1390 0.8626 0.8110
Br: 0.1401 0.8614 0.9336
Br: 0.1396 0.8631 0.3111
Br: 0.1406 0.8644 0.4340
Br: 0.2108 0.9688 0.6250
Br: 0.2125 0.9682 0.1243
Br: 0.2288 0.3854 0.3009
Br: 0.2287 0.3854 0.8011
Br: 0.2336 0.3948 0.4489
Br: 0.2350 0.3996 0.9487
Br: 0.2650 0.2204 0.6987
Br: 0.2650 0.2209 0.1985
Br: 0.2702 0.2403 0.5524
Br: 0.2712 0.2348 0.0510
Br: 0.2867 0.6523 0.3744
Br: 0.2875 0.6517 0.8743
Br: 0.3605 0.7572 0.0610
Br: 0.3599 0.7583 0.6838
Br: 0.3601 0.7587 0.1837
Br: 0.3630 0.7528 0.5611
Br: 0.3735 0.1259 0.3114
Br: 0.3741 0.1269 0.8118
Br: 0.3858 0.1173 0.4349
Br: 0.3871 0.1150 0.9355
Br: 0.4009 0.4701 0.1315
Br: 0.4010 0.4709 0.6316
Br: 0.4417 0.8163 0.2884
Br: 0.4416 0.8165 0.7882
Br: 0.4454 0.8195 0.4567
Br: 0.4449 0.8197 0.9569
Br: 0.4847 0.0209 0.0527
Br: 0.4893 0.0197 0.5528
Br: 0.4999 0.0228 0.2004
Br: 0.4999 0.0232 0.7005
Br: 0.5001 0.5232 0.2995
Br: 0.5001 0.5228 0.7996
Br: 0.5107 0.5197 0.4472
Br: 0.5153 0.5209 0.9473
Br: 0.5551 0.3197 0.0431
Br: 0.5546 0.3195 0.5433
Br: 0.5583 0.3163 0.7116
Br: 0.5584 0.3165 0.2118
Br: 0.5991 0.9701 0.8685
Br: 0.5990 0.9709 0.3684
Br: 0.6129 0.6150 0.0645
Br: 0.6142 0.6173 0.5651
Br: 0.6259 0.6269 0.1882
Br: 0.6265 0.6259 0.6886
Br: 0.6370 0.2528 0.4389
Br: 0.6395 0.2572 0.9390
Br: 0.6401 0.2583 0.3162
Br: 0.6399 0.2587 0.8163
Br: 0.7125 0.1517 0.1257
Br: 0.7133 0.1523 0.6256
Br: 0.7288 0.7348 0.9490
Br: 0.7298 0.7403 0.4476
Br: 0.7350 0.7204 0.3013
Br: 0.7350 0.7209 0.8015
Br: 0.7650 0.8996 0.0513
Br: 0.7664 0.8948 0.5511
Br: 0.7713 0.8854 0.1989
Br: 0.7712 0.8854 0.6991
Br: 0.7875 0.4682 0.8757
Br: 0.7892 0.4688 0.3750
Br: 0.8594 0.3644 0.5660
Br: 0.8599 0.3614 0.0664
Br: 0.8604 0.3631 0.6889
Br: 0.8610 0.3626 0.1890
Br: 0.8740 0.9936 0.9383
Br: 0.8794 0.9963 0.4384
Br: 0.8862 0.0035 0.3140
Br: 0.8869 0.0048 0.8145
Br: 0.9008 0.6500 0.1184
Br: 0.9030 0.6524 0.6218
Br: 0.9417 0.3033 0.9619
Br: 0.9445 0.2993 0.2925
Br: 0.9447 0.3002 0.7931
Br: 0.9488 0.2988 0.4622
Br: 0.9843 0.0992 0.1970
Br: 0.9848 0.0999 0.6974
Br: 0.9927 0.1009 0.5535

11.
# EuSi2Pd2

A geometry-optimized EuSi2Pd2 structure (GGA-PBE, the Materials Project).

**Symmetry**: I4/mmm, No. 139
**Energy relative to the elements**: -0.82 eV per atom

abc: 4.2477 4.2477 10.0197
angles: 90.00 90.00 90.00
Element x y z (fractional)
Eu: 0.0000 0.0000 0.0000
Eu: 0.5000 0.5000 0.5000
Si: 0.0000 0.0000 0.3802
Si: 0.0000 0.0000 0.6198
Si: 0.5000 0.5000 0.1198
Si: 0.5000 0.5000 0.8802
Pd: 0.0000 0.5000 0.2500
Pd: 0.0000 0.5000 0.7500
Pd: 0.5000 0.0000 0.2500
Pd: 0.5000 0.0000 0.7500